# 1
## Li2MnVP4O14 (PBE+U)

Data for crystalline Li2MnVP4O14 at its relaxed geometry.

Space group: No. 1
Total magnetic moment, μB per formula unit: 6.00
Energy of formation, eV/atom: -2.652

a b c (Å): 4.850 7.048 16.610
angles (deg): 90.03 90.08 108.78
Fractional positions:
Li (0.000, 0.000, 0.000)
Li (0.002, 0.002, 0.500)
Li (0.648, 0.651, 0.250)
Li (0.652, 0.651, 0.750)
Mn (0.040, 0.054, 0.681)
Mn (0.612, 0.595, 0.932)
V (0.039, 0.055, 0.181)
V (0.609, 0.599, 0.431)
P (0.036, 0.412, 0.538)
P (0.039, 0.414, 0.038)
P (0.225, 0.849, 0.341)
P (0.226, 0.842, 0.842)
P (0.424, 0.804, 0.592)
P (0.426, 0.808, 0.091)
P (0.612, 0.240, 0.289)
P (0.613, 0.236, 0.787)
O (0.012, 0.810, 0.412)
O (0.015, 0.808, 0.914)
O (0.072, 0.832, 0.259)
O (0.075, 0.820, 0.761)
O (0.218, 0.932, 0.093)
O (0.222, 0.933, 0.593)
O (0.223, 0.410, 0.964)
O (0.223, 0.412, 0.463)
O (0.229, 0.573, 0.604)
O (0.230, 0.575, 0.103)
O (0.421, 0.080, 0.354)
O (0.423, 0.076, 0.853)
O (0.424, 0.237, 0.713)
O (0.428, 0.243, 0.214)
O (0.429, 0.722, 0.342)
O (0.433, 0.716, 0.845)
O (0.575, 0.821, 0.510)
O (0.581, 0.830, 0.010)
O (0.636, 0.844, 0.163)
O (0.639, 0.844, 0.663)
O (0.693, 0.441, 0.333)
O (0.699, 0.437, 0.829)
O (0.767, 0.472, 0.018)
O (0.775, 0.479, 0.518)
O (0.876, 0.178, 0.269)
O (0.882, 0.176, 0.767)
O (0.951, 0.211, 0.579)
O (0.956, 0.214, 0.083)


# 2
## Li3MnVP3O12 (PBE+U)

Data for crystalline Li3MnVP3O12 at its relaxed geometry.

Space group: No. 1
Total magnetic moment, μB per formula unit: 6.00
Energy of formation, eV/atom: -2.620

a b c (Å): 8.577 8.694 8.701
angles (deg): 60.95 61.17 89.43
Fractional positions:
Li (0.000, 0.000, 0.000)
Li (0.033, 0.111, 0.356)
Li (0.458, 0.388, 0.757)
Li (0.493, 0.841, 0.003)
Li (0.534, 0.366, 0.356)
Li (0.956, 0.691, 0.761)
Mn (0.640, 0.878, 0.582)
Mn (0.916, 0.578, 0.175)
V (0.137, 0.373, 0.586)
V (0.423, 0.093, 0.167)
P (0.034, 0.782, 0.370)
P (0.238, 0.980, 0.652)
P (0.315, 0.483, 0.102)
P (0.535, 0.686, 0.375)
P (0.730, 0.199, 0.655)
P (0.825, 0.263, 0.094)
O (0.081, 0.802, 0.844)
O (0.086, 0.620, 0.498)
O (0.111, 0.468, 0.163)
O (0.194, 0.964, 0.205)
O (0.203, 0.134, 0.697)
O (0.228, 0.025, 0.461)
O (0.324, 0.429, 0.296)
O (0.361, 0.337, 0.044)
O (0.382, 0.496, 0.539)
O (0.435, 0.977, 0.603)
O (0.452, 0.674, 0.924)
O (0.477, 0.842, 0.248)
O (0.572, 0.181, 0.859)
O (0.587, 0.717, 0.507)
O (0.622, 0.211, 0.159)
O (0.697, 0.001, 0.698)
O (0.701, 0.669, 0.201)
O (0.706, 0.341, 0.478)
O (0.847, 0.125, 0.274)
O (0.861, 0.463, 0.043)
O (0.875, 0.807, 0.542)
O (0.926, 0.252, 0.604)
O (0.966, 0.260, 0.900)
O (0.974, 0.753, 0.242)


# 3
## Li6MnV3P6O24 (PBE+U)

Data for crystalline Li6MnV3P6O24 at its relaxed geometry.

Space group: No. 1
Total magnetic moment, μB per formula unit: 10.00
Energy of formation, eV/atom: -2.648

a b c (Å): 6.376 8.595 8.668
angles (deg): 94.35 106.01 105.96
Fractional positions:
Li (0.000, 0.000, 0.000)
Li (0.004, 0.707, 0.293)
Li (0.251, 0.489, 0.503)
Li (0.500, 0.280, 0.713)
Li (0.504, 0.987, 0.007)
Li (0.753, 0.491, 0.503)
Mn (0.887, 0.052, 0.377)
V (0.115, 0.613, 0.946)
V (0.392, 0.373, 0.059)
V (0.611, 0.934, 0.624)
P (0.001, 0.277, 0.717)
P (0.116, 0.851, 0.667)
P (0.388, 0.130, 0.342)
P (0.503, 0.706, 0.290)
P (0.617, 0.653, 0.864)
P (0.887, 0.331, 0.135)
O (0.024, 0.254, 0.542)
O (0.047, 0.694, 0.548)
O (0.078, 0.394, 0.050)
O (0.158, 0.004, 0.339)
O (0.159, 0.831, 0.851)
O (0.218, 0.249, 0.833)
O (0.287, 0.734, 0.175)
O (0.341, 0.978, 0.661)
O (0.365, 0.152, 0.161)
O (0.430, 0.594, 0.954)
O (0.456, 0.289, 0.460)
O (0.484, 0.727, 0.465)
O (0.519, 0.529, 0.265)
O (0.547, 0.535, 0.707)
O (0.578, 0.041, 0.404)
O (0.646, 0.837, 0.844)
O (0.659, 0.338, 0.013)
O (0.725, 0.820, 0.265)
O (0.783, 0.164, 0.744)
O (0.847, 0.653, 0.989)
O (0.855, 0.146, 0.145)
O (0.925, 0.937, 0.618)
O (0.956, 0.444, 0.296)
O (0.985, 0.454, 0.741)


# 4
## Li3MnVP3O12 (PBE+U)

Data for crystalline Li3MnVP3O12 at its relaxed geometry.

Space group: No. 1
Total magnetic moment, μB per formula unit: 6.00
Energy of formation, eV/atom: -2.641

a b c (Å): 8.521 8.725 12.236
angles (deg): 89.68 88.28 89.84
Fractional positions:
Li (0.000, 0.000, 0.000)
Li (0.017, 0.430, 0.653)
Li (0.143, 0.398, 0.964)
Li (0.162, 0.830, 0.618)
Li (0.261, 0.132, 0.133)
Li (0.399, 0.633, 0.986)
Li (0.500, 0.331, 0.501)
Li (0.517, 0.901, 0.154)
Li (0.644, 0.931, 0.465)
Li (0.661, 0.501, 0.118)
Li (0.762, 0.196, 0.632)
Li (0.902, 0.699, 0.486)
Mn (0.326, 0.453, 0.200)
Mn (0.326, 0.886, 0.413)
Mn (0.335, 0.385, 0.706)
Mn (0.835, 0.946, 0.205)
V (0.336, 0.950, 0.919)
V (0.823, 0.442, 0.913)
V (0.826, 0.880, 0.700)
V (0.837, 0.380, 0.417)
P (0.040, 0.163, 0.800)
P (0.124, 0.664, 0.818)
P (0.195, 0.804, 0.161)
P (0.197, 0.535, 0.454)
P (0.462, 0.305, 0.961)
P (0.466, 0.035, 0.661)
P (0.536, 0.168, 0.301)
P (0.627, 0.667, 0.319)
P (0.694, 0.524, 0.662)
P (0.694, 0.798, 0.959)
P (0.963, 0.295, 0.156)
P (0.966, 0.025, 0.458)
O (0.024, 0.496, 0.494)
O (0.026, 0.578, 0.907)
O (0.027, 0.803, 0.208)
O (0.032, 0.783, 0.753)
O (0.131, 0.041, 0.863)
O (0.135, 0.026, 0.412)
O (0.135, 0.329, 0.117)
O (0.138, 0.249, 0.710)
O (0.185, 0.553, 0.726)
O (0.203, 0.714, 0.473)
O (0.204, 0.917, 0.060)
O (0.215, 0.502, 0.332)
O (0.253, 0.643, 0.121)
O (0.267, 0.737, 0.874)
O (0.313, 0.447, 0.525)
O (0.318, 0.868, 0.240)
O (0.342, 0.370, 0.881)
O (0.351, 0.947, 0.591)
O (0.390, 0.242, 0.247)
O (0.408, 0.144, 0.000)
O (0.444, 0.999, 0.783)
O (0.454, 0.421, 0.062)
O (0.459, 0.214, 0.644)
O (0.474, 0.054, 0.392)
O (0.520, 0.835, 0.997)
O (0.525, 0.525, 0.706)
O (0.528, 0.751, 0.409)
O (0.539, 0.548, 0.254)
O (0.628, 0.285, 0.366)
O (0.631, 0.308, 0.916)
O (0.632, 0.083, 0.211)
O (0.640, 0.997, 0.622)
O (0.688, 0.780, 0.227)
O (0.705, 0.620, 0.978)
O (0.710, 0.409, 0.563)
O (0.718, 0.834, 0.837)
O (0.753, 0.684, 0.622)
O (0.771, 0.595, 0.376)
O (0.809, 0.888, 0.028)
O (0.814, 0.462, 0.746)
O (0.844, 0.962, 0.378)
O (0.848, 0.382, 0.085)
O (0.896, 0.092, 0.744)
O (0.910, 0.186, 0.497)
O (0.937, 0.334, 0.277)
O (0.955, 0.115, 0.143)
O (0.957, 0.910, 0.558)
O (0.980, 0.274, 0.891)


# 5
## Li12Mn5V3P12O48 (PBE+U)

Data for crystalline Li12Mn5V3P12O48 at its relaxed geometry.

Space group: No. 1
Total magnetic moment, μB per formula unit: 26.00
Energy of formation, eV/atom: -2.622

a b c (Å): 8.677 8.692 12.320
angles (deg): 89.77 88.20 89.97
Fractional positions:
Li (0.000, 0.000, 0.000)
Li (0.005, 0.383, 0.936)
Li (0.159, 0.223, 0.540)
Li (0.169, 0.608, 0.477)
Li (0.289, 0.519, 0.066)
Li (0.374, 0.019, 0.913)
Li (0.499, 0.106, 0.502)
Li (0.505, 0.722, 0.436)
Li (0.657, 0.885, 0.041)
Li (0.666, 0.497, 0.978)
Li (0.791, 0.583, 0.564)
Li (0.874, 0.086, 0.414)
Mn (0.329, 0.843, 0.129)
Mn (0.330, 0.769, 0.635)
Mn (0.335, 0.267, 0.343)
Mn (0.829, 0.262, 0.629)
Mn (0.829, 0.337, 0.135)
V (0.335, 0.340, 0.849)
V (0.834, 0.762, 0.350)
V (0.834, 0.833, 0.847)
P (0.045, 0.553, 0.732)
P (0.121, 0.055, 0.746)
P (0.182, 0.201, 0.086)
P (0.186, 0.919, 0.380)
P (0.478, 0.420, 0.594)
P (0.478, 0.699, 0.892)
P (0.545, 0.551, 0.233)
P (0.621, 0.051, 0.246)
P (0.685, 0.903, 0.590)
P (0.686, 0.186, 0.881)
P (0.977, 0.685, 0.091)
P (0.980, 0.406, 0.391)
O (0.001, 0.191, 0.090)
O (0.010, 0.897, 0.404)
O (0.014, 0.984, 0.835)
O (0.037, 0.171, 0.672)
O (0.131, 0.438, 0.804)
O (0.152, 0.704, 0.068)
O (0.154, 0.626, 0.642)
O (0.161, 0.417, 0.389)
O (0.191, 0.936, 0.665)
O (0.218, 0.902, 0.258)
O (0.221, 0.323, 0.995)
O (0.223, 0.089, 0.416)
O (0.235, 0.040, 0.046)
O (0.253, 0.256, 0.189)
O (0.254, 0.135, 0.806)
O (0.279, 0.801, 0.445)
O (0.385, 0.300, 0.530)
O (0.408, 0.757, 0.789)
O (0.413, 0.626, 0.172)
O (0.424, 0.535, 0.928)
O (0.438, 0.396, 0.715)
O (0.439, 0.590, 0.560)
O (0.439, 0.821, 0.984)
O (0.480, 0.432, 0.316)
O (0.504, 0.913, 0.593)
O (0.510, 0.207, 0.906)
O (0.514, 0.120, 0.337)
O (0.537, 0.936, 0.173)
O (0.631, 0.668, 0.304)
O (0.653, 0.401, 0.570)
O (0.653, 0.481, 0.142)
O (0.657, 0.690, 0.889)
O (0.690, 0.169, 0.165)
O (0.717, 0.204, 0.758)
O (0.723, 0.017, 0.917)
O (0.725, 0.781, 0.500)
O (0.737, 0.064, 0.548)
O (0.753, 0.852, 0.695)
O (0.753, 0.970, 0.307)
O (0.779, 0.306, 0.945)
O (0.886, 0.803, 0.020)
O (0.911, 0.349, 0.288)
O (0.913, 0.478, 0.672)
O (0.925, 0.569, 0.426)
O (0.933, 0.713, 0.210)
O (0.938, 0.515, 0.059)
O (0.939, 0.285, 0.483)
O (0.976, 0.672, 0.811)


# 6
## Li2MnVP4O14 (PBE+U)

Data for crystalline Li2MnVP4O14 at its relaxed geometry.

Space group: No. 1
Total magnetic moment, μB per formula unit: 6.00
Energy of formation, eV/atom: -2.652

a b c (Å): 4.869 8.296 20.118
angles (deg): 89.54 84.56 89.77
Fractional positions:
Li (0.000, 0.000, 0.000)
Li (0.098, 0.499, 0.450)
Li (0.333, 0.001, 0.334)
Li (0.433, 0.502, 0.783)
Li (0.663, 0.002, 0.667)
Li (0.763, 0.499, 0.117)
Mn (0.353, 0.362, 0.315)
Mn (0.410, 0.864, 0.802)
Mn (0.685, 0.364, 0.649)
V (0.020, 0.360, 0.982)
V (0.076, 0.862, 0.468)
V (0.742, 0.860, 0.135)
P (0.154, 0.185, 0.731)
P (0.196, 0.578, 0.588)
P (0.230, 0.074, 0.197)
P (0.274, 0.680, 0.051)
P (0.488, 0.181, 0.066)
P (0.531, 0.574, 0.921)
P (0.564, 0.075, 0.530)
P (0.607, 0.682, 0.386)
P (0.820, 0.183, 0.400)
P (0.864, 0.577, 0.255)
P (0.898, 0.077, 0.863)
P (0.942, 0.684, 0.720)
O (0.011, 0.428, 0.587)
O (0.019, 0.325, 0.386)
O (0.034, 0.208, 0.808)
O (0.061, 0.707, 0.642)
O (0.072, 0.822, 0.064)
O (0.084, 0.928, 0.864)
O (0.128, 0.516, 0.056)
O (0.154, 0.537, 0.273)
O (0.190, 0.690, 0.762)
O (0.210, 0.668, 0.522)
O (0.211, 0.157, 0.264)
O (0.242, 0.184, 0.024)
O (0.282, 0.034, 0.507)
O (0.297, 0.022, 0.724)
O (0.344, 0.425, 0.922)
O (0.353, 0.329, 0.719)
O (0.369, 0.207, 0.143)
O (0.393, 0.707, 0.974)
O (0.408, 0.825, 0.398)
O (0.419, 0.924, 0.196)
O (0.462, 0.519, 0.394)
O (0.487, 0.536, 0.607)
O (0.520, 0.683, 0.094)
O (0.545, 0.159, 0.597)
O (0.550, 0.659, 0.854)
O (0.576, 0.185, 0.356)
O (0.608, 0.036, 0.844)
O (0.635, 0.017, 0.061)
O (0.680, 0.427, 0.253)
O (0.689, 0.322, 0.053)
O (0.700, 0.209, 0.476)
O (0.725, 0.706, 0.308)
O (0.743, 0.828, 0.731)
O (0.752, 0.926, 0.529)
O (0.799, 0.522, 0.727)
O (0.813, 0.534, 0.944)
O (0.857, 0.687, 0.427)
O (0.878, 0.666, 0.188)
O (0.885, 0.166, 0.929)
O (0.904, 0.191, 0.689)
O (0.948, 0.034, 0.174)
O (0.967, 0.019, 0.395)